(1)
Density functional theory data (r2SCAN) for a relaxed structure of Na2ZnCl4.

For the total moment, the calculation gives 0.0 μB/f.u. For the total energy, the calculation gives -7.54 eV per atom. Its energy relative to the elements is -1.74 eV per atom.

It has space group Pnma (No. 62), with a = 13.643 Å, b = 7.982 Å, c = 6.374 Å, α = 90.00°, β = 90.00° and γ = 90.00°. The distinct sites, in fractional coordinates, are Na at (0.000, 0.000, 0.000), Na at (0.231, 0.250, 0.494), Zn at (0.091, 0.750, 0.412), Cl at (0.063, 0.250, 0.733), Cl at (0.092, 0.750, 0.764) and Cl at (0.165, 0.524, 0.260).

---

(2)
Density functional theory data (r2SCAN) for a relaxed structure of ZrIn3.

For the total moment, the calculation gives 0.0 μB/f.u. For the total energy, the calculation gives -22.95 eV per atom. Its energy relative to the elements is -0.33 eV per atom.

It has space group I4/mmm (No. 139), with a = 4.263 Å, b = 4.263 Å, c = 9.870 Å, α = 90.00°, β = 90.00° and γ = 90.00°. The distinct sites, in fractional coordinates, are Zr at (0.000, 0.000, 0.000), In at (0.000, 0.000, 0.500) and In at (0.000, 0.500, 0.250).

---

Which value of energy relative to the elements does entry 2 give? -0.33 eV per atom

---

Number 2 is which compound? ZrIn3

---

The lowest energy relative to the elements belongs to which entry? Na2ZnCl4